1.
Here is LaBr2 after structural relaxation from the Materials Project. Energies are from r2SCAN. Values from VASP.

Cell and atoms, written as Quantum ESPRESSO input:
```
&SYSTEM
  ibrav = 0, nat = 6, ntyp = 2
/
ATOMIC_SPECIES
La 138.91 La.upf
Br 79.90 Br.upf
ATOMIC_POSITIONS angstrom
La 0.000 0.000 3.817
La 0.000 0.000 11.450
Br 0.000 2.388 1.897
Br 0.000 2.388 5.737
Br 2.068 1.194 9.530
Br 2.068 1.194 13.370
CELL_PARAMETERS angstrom
4.137 0.000 0.000
-2.068 3.583 0.000
0.000 0.000 15.267
```

Output
ΔE_f ... -2080 meV per atom
Space group ... P6_3/mmc, No. 194
Density ... 4.38 g cm⁻³


2.
Here is La2Br5 after structural relaxation from the Materials Project. Energies are from r2SCAN. Values from VASP.

Cell and atoms, written as Quantum ESPRESSO input:
```
&SYSTEM
  ibrav = 0, nat = 14, ntyp = 2
/
ATOMIC_SPECIES
La 138.91 La.upf
Br 79.90 Br.upf
ATOMIC_POSITIONS angstrom
La 0.471 1.073 4.597
La 3.336 3.219 2.169
La 4.354 1.073 11.446
La 7.219 3.219 9.018
Br 0.307 3.219 2.412
Br 1.054 1.073 7.736
Br 2.451 1.073 0.166
Br 2.438 3.219 10.488
Br 2.625 3.219 5.146
Br 5.065 1.073 8.469
Br 5.251 1.073 3.127
Br 5.238 3.219 13.449
Br 6.636 3.219 5.879
Br 7.383 1.073 11.203
CELL_PARAMETERS angstrom
7.919 0.000 0.000
0.000 4.292 0.000
-0.229 0.000 13.615
```

Output
ΔE_f ... -2228 meV per atom
Space group ... P2_1/m, No. 11
Density ... 4.86 g cm⁻³


3.
Here is La3NiBr3 after structural relaxation from the Materials Project. Energies are from r2SCAN. Values from VASP.

Cell and atoms, written as Quantum ESPRESSO input:
```
&SYSTEM
  ibrav = 0, nat = 28, ntyp = 3
/
ATOMIC_SPECIES
La 138.91 La.upf
Ni 58.69 Ni.upf
Br 79.90 Br.upf
ATOMIC_POSITIONS angstrom
La 7.884 4.592 -3.217
La 7.910 1.633 -0.344
La 1.414 1.414 0.000
La -1.633 1.659 2.529
La 4.618 -1.659 6.090
La 1.414 4.837 2.873
La 1.659 -1.633 8.962
La 1.633 7.910 0.344
La -1.659 4.618 5.402
La -1.414 7.665 2.873
La 4.837 4.837 5.746
La 4.592 7.884 3.217
Ni 4.666 -4.666 5.746
Ni -1.585 4.666 2.873
Ni -4.666 4.666 5.746
Ni 1.585 7.836 2.873
Br 4.763 -1.488 2.873
Br 4.711 4.665 -2.711
Br 4.665 1.540 0.161
Br 1.540 4.665 -0.161
Br 7.739 1.488 2.873
Br 1.488 -1.488 5.746
Br 1.540 1.586 3.034
Br 4.665 4.711 2.711
Br 4.711 1.586 5.584
Br -1.488 1.488 5.746
Br 1.586 1.540 8.457
Br 1.586 4.711 5.907
CELL_PARAMETERS angstrom
-6.251 6.251 5.746
6.251 -6.251 5.746
6.251 6.251 -5.746
```

Output
ΔE_f ... -1507 meV per atom
Space group ... I4_122, No. 98
Density ... 5.29 g cm⁻³


4.
Here is Rb2LaBr5 after structural relaxation from the Materials Project. Energies are from r2SCAN. Values from VASP.

Cell and atoms, written as Quantum ESPRESSO input:
```
&SYSTEM
  ibrav = 0, nat = 32, ntyp = 3
/
ATOMIC_SPECIES
Rb 85.47 Rb.upf
La 138.91 La.upf
Br 79.90 Br.upf
ATOMIC_POSITIONS angstrom
Rb 2.386 0.042 0.471
Rb 2.386 4.692 0.471
Rb 4.546 4.776 4.817
Rb 4.546 9.426 4.817
Rb 9.317 0.042 3.876
Rb 9.317 4.692 3.876
Rb 11.477 4.776 8.222
Rb 11.477 9.426 8.222
La 0.074 2.367 4.995
La 6.857 7.101 0.648
La 7.005 2.367 8.044
La 13.789 7.101 3.698
Br 0.127 2.367 7.998
Br 1.056 5.146 5.784
Br 1.056 9.056 5.784
Br 2.478 2.367 3.245
Br 2.820 7.101 2.946
Br 4.111 2.367 7.292
Br 4.453 7.101 7.592
Br 5.876 0.412 1.438
Br 5.876 4.322 1.438
Br 6.804 7.101 3.652
Br 7.059 2.367 5.041
Br 7.987 5.146 7.255
Br 7.987 9.056 7.255
Br 9.410 2.367 1.101
Br 9.752 7.101 1.401
Br 11.042 2.367 5.747
Br 11.384 7.101 5.447
Br 12.807 0.412 2.908
Br 12.807 4.322 2.908
Br 13.735 7.101 0.694
CELL_PARAMETERS angstrom
13.863 0.000 0.000
0.000 9.468 0.000
0.000 0.000 8.693
```

Output
ΔE_f ... -2199 meV per atom
Space group ... Pnma, No. 62
Density ... 4.13 g cm⁻³


5.
Here is LaSBr after structural relaxation from the Materials Project. Energies are from r2SCAN. Values from VASP.

Cell and atoms, written as Quantum ESPRESSO input:
```
&SYSTEM
  ibrav = 0, nat = 24, ntyp = 3
/
ATOMIC_SPECIES
La 138.91 La.upf
S 32.06 S.upf
Br 79.90 Br.upf
ATOMIC_POSITIONS angstrom
La 1.701 1.312 0.227
La 1.701 5.732 3.826
La 1.806 8.356 0.227
La 1.806 12.775 3.826
La 5.209 1.312 3.372
La 5.209 5.732 6.972
La 5.314 8.356 3.372
La 5.314 12.775 6.972
S 0.004 0.322 5.344
S 0.004 6.722 1.745
S 3.504 7.366 5.344
S 3.504 13.765 1.745
S 3.512 0.322 5.453
S 3.512 6.722 1.854
S 7.011 7.366 5.453
S 7.011 13.765 1.854
Br 1.107 9.944 2.827
Br 1.107 11.186 6.426
Br 2.400 2.901 2.827
Br 2.400 4.143 6.426
Br 4.615 9.944 0.772
Br 4.615 11.186 4.371
Br 5.908 2.901 0.772
Br 5.908 4.143 4.371
CELL_PARAMETERS angstrom
7.016 0.000 0.000
0.000 14.087 0.000
0.000 0.000 7.198
```

Output
ΔE_f ... -2445 meV per atom
Space group ... Pbca, No. 61
Density ... 4.68 g cm⁻³


6.
Here is La3SiBr3 after structural relaxation from the Materials Project. Energies are from r2SCAN. Values from VASP.

Cell and atoms, written as Quantum ESPRESSO input:
```
&SYSTEM
  ibrav = 0, nat = 28, ntyp = 3
/
ATOMIC_SPECIES
La 138.91 La.upf
Si 28.09 Si.upf
Br 79.90 Br.upf
ATOMIC_POSITIONS angstrom
La 1.648 1.532 -1.415
La 7.541 1.648 -1.532
La 1.532 -1.415 1.648
La 4.711 4.478 -1.532
La 4.478 1.532 1.415
La -1.415 1.648 1.532
La 4.478 -1.532 4.711
La 1.532 1.415 4.478
La 1.415 4.478 1.532
La 1.648 -1.532 7.541
La -1.532 7.541 1.648
La -1.532 4.711 4.478
Si 4.595 1.532 -1.532
Si 1.532 1.532 1.532
Si 1.532 -1.532 4.595
Si -1.532 4.595 1.532
Br 7.658 1.464 1.599
Br 7.658 -1.464 4.528
Br 4.528 7.658 -1.464
Br 4.662 1.599 4.595
Br 4.595 4.662 1.599
Br 1.599 7.658 1.464
Br 7.591 4.528 4.595
Br 1.599 4.595 4.662
Br 1.464 1.599 7.658
Br 4.595 7.591 4.528
Br -1.464 4.528 7.658
Br 4.528 4.595 7.591
CELL_PARAMETERS angstrom
-6.126 6.126 6.126
6.126 -6.126 6.126
6.126 6.126 -6.126
```

Output
ΔE_f ... -1733 meV per atom
Space group ... I4_132, No. 214
Density ... 4.94 g cm⁻³


7.
Here is La5Sn3Br after structural relaxation from the Materials Project. Energies are from r2SCAN. Values from VASP.

Cell and atoms, written as Quantum ESPRESSO input:
```
&SYSTEM
  ibrav = 0, nat = 18, ntyp = 3
/
ATOMIC_SPECIES
La 138.91 La.upf
Sn 118.71 Sn.upf
Br 79.90 Br.upf
ATOMIC_POSITIONS angstrom
La -1.306 2.261 1.761
La -3.544 6.139 5.283
La 2.611 0.000 1.761
La 1.306 2.261 5.283
La 0.000 5.600 0.000
La 0.000 5.600 3.522
La 4.850 2.800 0.000
La 4.850 2.800 3.522
La 7.089 0.000 5.283
La 3.544 6.139 1.761
Sn -1.873 3.243 5.283
Sn -2.977 5.157 1.761
Sn 3.745 0.000 5.283
Sn 1.873 3.243 1.761
Sn 5.955 0.000 1.761
Sn 2.977 5.157 5.283
Br 0.000 0.000 0.000
Br 0.000 0.000 3.522
CELL_PARAMETERS angstrom
9.700 0.000 0.000
-4.850 8.400 0.000
0.000 0.000 7.044
```

Output
ΔE_f ... -1152 meV per atom
Space group ... P6_3/mcm, No. 193
Density ... 6.54 g cm⁻³


8.
Here is Li2MgBr4 after structural relaxation from the Materials Project. Energies are from r2SCAN. Values from VASP.

Cell and atoms, written as Quantum ESPRESSO input:
```
&SYSTEM
  ibrav = 0, nat = 7, ntyp = 3
/
ATOMIC_SPECIES
Li 6.94 Li.upf
Mg 24.30 Mg.upf
Br 79.90 Br.upf
ATOMIC_POSITIONS angstrom
Li 1.938 2.739 0.000
Li 1.938 -2.739 0.000
Mg 0.000 0.000 1.932
Br 1.858 0.000 0.000
Br 3.876 2.810 1.932
Br 3.876 -2.810 1.932
Br 5.893 0.000 0.000
CELL_PARAMETERS angstrom
3.876 -5.478 0.000
3.876 5.478 0.000
0.000 0.000 3.865
```

Output
ΔE_f ... -1740 meV per atom
Space group ... Cmmm, No. 65
Density ... 3.62 g cm⁻³


9.
Here is Li6MgBr8 after structural relaxation from the Materials Project. Energies are from r2SCAN. Values from VASP.

Cell and atoms, written as Quantum ESPRESSO input:
```
&SYSTEM
  ibrav = 0, nat = 15, ntyp = 3
/
ATOMIC_SPECIES
Li 6.94 Li.upf
Mg 24.30 Mg.upf
Br 79.90 Br.upf
ATOMIC_POSITIONS angstrom
Li 2.730 2.730 0.000
Li 2.730 0.000 2.730
Li 5.459 2.730 2.730
Li 0.000 2.730 2.730
Li 2.730 5.459 2.730
Li 2.730 2.730 5.459
Mg 0.000 0.000 0.000
Br 5.459 5.459 2.669
Br 5.459 2.669 5.459
Br 8.249 5.459 5.459
Br 2.730 2.730 2.730
Br 8.189 8.189 8.189
Br 2.669 5.459 5.459
Br 5.459 8.249 5.459
Br 5.459 5.459 8.249
CELL_PARAMETERS angstrom
0.000 5.459 5.459
5.459 0.000 5.459
5.459 5.459 0.000
```

Output
ΔE_f ... -1748 meV per atom
Space group ... Fm-3m, No. 225
Density ... 3.60 g cm⁻³


10.
Here is Li6Br3N after structural relaxation from the Materials Project. Energies are from r2SCAN. Values from VASP.

Cell and atoms, written as Quantum ESPRESSO input:
```
&SYSTEM
  ibrav = 0, nat = 20, ntyp = 3
/
ATOMIC_SPECIES
Li 6.94 Li.upf
Br 79.90 Br.upf
N 14.01 N.upf
ATOMIC_POSITIONS angstrom
Li -2.053 1.478 3.770
Li -5.120 1.678 8.242
Li -4.584 4.224 8.627
Li -1.517 5.247 4.155
Li -2.427 0.446 6.238
Li 0.639 2.711 1.766
Li -0.583 3.603 7.179
Li 2.483 5.868 2.707
Li 1.573 1.067 4.790
Li 4.640 2.090 0.317
Li 5.176 4.635 0.702
Li 2.109 4.835 5.174
Br -0.035 0.130 2.303
Br -3.102 3.027 6.776
Br 3.095 0.000 0.000
Br 0.028 3.157 4.472
Br 3.158 3.287 2.169
Br 0.091 6.184 6.641
N -3.067 0.000 4.472
N 0.000 3.157 0.000
CELL_PARAMETERS angstrom
6.189 0.000 0.000
0.000 6.314 0.000
-6.133 0.000 8.944
```

Output
ΔE_f ... -1252 meV per atom
Offset from the most stable computed form ... 11 meV per atom
Space group ... P2_1/c, No. 14
Density ... 2.81 g cm⁻³


11.
Here is Li6Br3N after structural relaxation from the Materials Project. Energies are from r2SCAN. Values from VASP.

Cell and atoms, written as Quantum ESPRESSO input:
```
&SYSTEM
  ibrav = 0, nat = 80, ntyp = 3
/
ATOMIC_SPECIES
Li 6.94 Li.upf
Br 79.90 Br.upf
N 14.01 N.upf
ATOMIC_POSITIONS angstrom
Li 1.276 0.770 -1.215
Li 4.012 3.693 -6.912
Li 4.933 1.214 -1.303
Li 3.615 -1.653 4.355
Li 4.475 -4.445 10.452
Li 7.220 -1.625 4.942
Li 4.411 0.770 1.215
Li 4.012 -2.039 6.912
Li 7.220 4.107 -4.942
Li 6.899 1.286 0.801
Li 3.615 4.078 -4.355
Li 0.754 1.214 1.303
Li 6.441 4.517 -1.303
Li 3.615 7.385 -6.898
Li 1.212 4.445 -0.801
Li 1.532 1.625 4.942
Li 4.012 2.039 4.341
Li 4.411 -0.770 10.038
Li 7.220 1.625 6.311
Li 4.475 4.445 0.801
Li 3.615 1.653 6.898
Li 4.933 -1.214 12.556
Li -1.675 2.039 6.912
Li 1.276 -0.770 12.468
Li 4.411 6.501 -1.215
Li 7.362 3.693 4.341
Li 0.754 6.946 -1.303
Li 2.073 4.078 4.355
Li 1.212 1.286 10.452
Li -1.532 4.107 4.942
Li 1.276 6.501 1.215
Li 1.675 3.693 6.912
Li 4.155 4.107 6.311
Li 4.475 1.286 12.054
Li 2.073 -1.653 18.151
Li -0.754 1.214 12.556
Li 4.933 4.517 9.950
Li 2.073 1.653 15.608
Li -1.212 4.445 10.452
Li -1.532 1.625 16.195
Li 1.675 7.770 4.341
Li 1.276 4.962 10.038
Li -1.532 7.356 6.311
Li 1.212 10.177 0.801
Li 2.073 7.385 6.898
Li 0.754 4.517 12.556
Li 1.675 2.039 18.165
Li 4.411 4.962 12.468
Br 5.687 2.866 -3.084
Br 8.311 -0.119 2.867
Br 5.687 -2.866 8.686
Br 2.623 0.119 2.867
Br 2.844 2.635 0.000
Br 5.351 5.731 -5.626
Br 5.351 0.000 5.626
Br 2.844 -2.635 11.253
Br 2.623 -0.119 8.386
Br 5.687 2.866 2.567
Br 2.623 5.850 -2.867
Br 0.000 2.866 3.084
Br 5.687 2.866 8.169
Br 3.064 -0.119 14.120
Br 0.000 2.866 8.686
Br 3.064 5.850 2.867
Br 2.844 8.366 0.000
Br 0.336 5.731 5.626
Br 0.336 0.000 16.879
Br 2.844 3.097 11.253
Br 3.064 5.613 8.386
Br 0.000 8.597 2.567
Br -2.623 5.850 8.386
Br 0.000 2.866 14.337
N 0.000 0.000 0.000
N 2.844 2.866 -5.626
N 2.844 -2.866 5.626
N 5.687 0.000 0.000
N -2.844 2.866 5.626
N 0.000 5.731 0.000
N 0.000 0.000 11.253
N 2.844 2.866 5.626
CELL_PARAMETERS angstrom
-5.687 5.731 11.253
5.687 -5.731 11.253
5.687 5.731 -11.253
```

Output
ΔE_f ... -1263 meV per atom
Offset from the most stable computed form ... 0 meV per atom
Space group ... Ibca, No. 73
Density ... 2.67 g cm⁻³


12.
Here is Li2UBr6 after structural relaxation from the Materials Project. Energies are from r2SCAN. Values from VASP.

Cell and atoms, written as Quantum ESPRESSO input:
```
&SYSTEM
  ibrav = 0, nat = 9, ntyp = 3
/
ATOMIC_SPECIES
Li 6.94 Li.upf
U 238.03 U.upf
Br 79.90 Br.upf
ATOMIC_POSITIONS angstrom
Li 3.460 3.978 0.000
Li 3.460 -3.978 0.000
U 3.460 0.000 0.000
Br 1.095 0.000 4.957
Br 2.282 1.999 1.546
Br 2.282 -1.999 1.546
Br 4.603 1.999 4.946
Br 4.603 -1.999 4.946
Br 5.790 0.000 1.535
CELL_PARAMETERS angstrom
3.460 -5.962 0.000
3.460 5.962 0.000
-0.035 0.000 6.492
```

Output
ΔE_f ... -1725 meV per atom
Space group ... C2/m, No. 12
Density ... 4.53 g cm⁻³


13.
Here is Li2ZnBr4 after structural relaxation from the Materials Project. Energies are from r2SCAN. Values from VASP.

Cell and atoms, written as Quantum ESPRESSO input:
```
&SYSTEM
  ibrav = 0, nat = 28, ntyp = 3
/
ATOMIC_SPECIES
Li 6.94 Li.upf
Zn 65.41 Zn.upf
Br 79.90 Br.upf
ATOMIC_POSITIONS angstrom
Li 0.000 0.000 0.000
Li 0.000 3.926 0.000
Li 3.185 1.963 3.196
Li 3.594 5.889 6.417
Li 6.779 0.000 3.221
Li 6.779 3.926 3.221
Li 9.963 1.963 0.025
Li 10.373 5.889 3.246
Zn 1.186 5.889 3.800
Zn 5.593 1.963 0.578
Zn 7.964 5.889 5.864
Zn 12.371 1.963 2.643
Br 1.020 1.963 1.611
Br 1.210 5.889 1.417
Br 2.262 3.979 4.834
Br 2.262 7.800 4.834
Br 4.517 0.053 1.613
Br 4.517 3.873 1.613
Br 5.569 1.963 4.638
Br 5.759 5.889 4.832
Br 7.798 1.963 1.610
Br 7.989 5.889 1.805
Br 9.040 3.979 4.830
Br 9.040 7.800 4.830
Br 11.295 0.053 1.609
Br 11.295 3.873 1.609
Br 12.347 1.963 5.026
Br 12.537 5.889 4.832
CELL_PARAMETERS angstrom
13.557 0.000 0.000
0.000 7.852 0.000
0.000 0.000 6.443
```

Output
ΔE_f ... -1448 meV per atom
Space group ... Pnma, No. 62
Density ... 3.86 g cm⁻³


14.
Here is LuBr3 after structural relaxation from the Materials Project. Energies are from r2SCAN. Values from VASP.

Cell and atoms, written as Quantum ESPRESSO input:
```
&SYSTEM
  ibrav = 0, nat = 8, ntyp = 2
/
ATOMIC_SPECIES
Lu 174.97 Lu.upf
Br 79.90 Br.upf
ATOMIC_POSITIONS angstrom
Lu 0.000 5.855 0.908
Lu 5.070 2.927 2.724
Br 0.000 3.787 2.724
Br -1.791 6.889 2.724
Br 3.279 1.893 0.908
Br 1.791 6.889 2.724
Br 6.862 1.893 0.908
Br 5.070 4.996 0.908
CELL_PARAMETERS angstrom
10.141 0.000 0.000
-5.070 8.782 0.000
0.000 0.000 3.633
```

Output
ΔE_f ... -2028 meV per atom
Space group ... P6_3/mmc, No. 194
Density ... 4.26 g cm⁻³